DFT (GGA-PBE) results for crystalline Lu2TeO6 at its relaxed geometry.

Unit cell a=9.095 b=9.095 c=5.061 alpha=90.00 beta=90.00 gamma=120.00
Fractional positions:
O1 0.915 0.796 0.214
Lu1 0.627 0.000 0.000
O2 0.130 0.542 0.726
O3 0.204 0.119 0.214
O4 0.542 0.130 0.274
Lu2 0.373 0.373 0.000
Te1 0.000 0.000 0.000
O5 0.780 0.539 0.709
O6 0.587 0.458 0.274
Te2 0.667 0.333 0.492
O7 0.458 0.587 0.726
Te3 0.333 0.667 0.508
O8 0.241 0.461 0.291
Lu3 0.290 0.000 0.500
O9 0.461 0.241 0.709
O10 0.220 0.759 0.291
O11 0.085 0.881 0.786
Lu4 0.710 0.710 0.500
Lu5 0.000 0.290 0.500
Lu6 0.000 0.627 0.000
O12 0.796 0.915 0.786
O13 0.759 0.220 0.709
O14 0.539 0.780 0.291
O15 0.413 0.870 0.726
O16 0.870 0.413 0.274
O17 0.119 0.204 0.786
O18 0.881 0.085 0.214

Values from the calculation:
As for the relative energy among the computed polymorphs: 0 meV per atom. The value obtained for the energy of formation is -3.06 eV/atom.

---

DFT (GGA-PBE) results for crystalline Sc2AlSi2 at its relaxed geometry.

Unit cell a=6.605 b=6.605 c=4.004 alpha=90.00 beta=90.00 gamma=90.00
Fractional positions:
Si1 0.126 0.626 0.000
Si2 0.626 0.874 0.000
Sc1 0.675 0.175 0.500
Sc2 0.175 0.325 0.500
Sc3 0.325 0.825 0.500
Al1 0.000 0.000 0.000
Sc4 0.825 0.675 0.500
Si3 0.874 0.374 0.000
Si4 0.374 0.126 0.000
Al2 0.500 0.500 0.000

Values from the calculation:
The value obtained for the energy of formation is -0.68 eV/atom.

---

DFT (GGA-PBE) results for crystalline MnFe3Si8 at its relaxed geometry.

Unit cell a=2.713 b=2.713 c=20.591 alpha=90.00 beta=90.00 gamma=90.00
Fractional positions:
Fe1 0.000 0.000 0.251
Si1 0.500 0.500 0.182
Si2 0.500 0.500 0.318
Mn1 0.000 0.000 0.000
Si3 0.500 0.500 0.682
Fe2 0.000 0.000 0.500
Si4 0.500 0.500 0.432
Si5 0.500 0.500 0.932
Si6 0.500 0.500 0.818
Si7 0.500 0.500 0.568
Si8 0.500 0.500 0.068
Fe3 0.000 0.000 0.749

Values from the calculation:
The value obtained for the energy of formation is -0.32 eV/atom.

---

DFT (GGA-PBE) results for crystalline ZnP4O11 at its relaxed geometry.

Unit cell a=9.252 b=9.310 c=10.736 alpha=109.13 beta=108.31 gamma=90.72
Fractional positions:
O1 0.814 0.640 0.354
O2 0.243 0.015 0.499
P1 0.737 0.585 0.443
O3 0.370 0.028 0.325
O4 0.806 0.467 0.498
O5 0.031 0.259 0.034
O6 0.612 0.264 0.597
O7 0.516 0.074 0.863
O8 0.189 0.100 0.822
P2 0.095 0.728 0.910
O9 0.944 0.307 0.690
O10 0.186 0.360 0.646
O11 0.912 0.975 0.746
O12 0.750 0.271 0.969
O13 0.485 0.689 0.199
O14 0.919 0.161 0.386
O15 0.078 0.584 0.775
O16 0.496 0.676 0.960
P3 0.239 0.076 0.388
O17 0.408 0.814 0.687
P4 0.090 0.950 0.754
O18 0.194 0.533 0.502
Zn1 0.254 0.281 0.021
P5 0.263 0.415 0.557
O19 0.683 0.861 0.869
O20 0.291 0.480 0.191
P6 0.095 0.403 0.759
O21 0.630 0.972 0.675
O22 0.797 0.590 0.103
O23 0.811 0.900 0.178
P7 0.910 0.050 0.246
O24 0.969 0.741 0.966
O25 0.515 0.311 0.801
O26 0.081 0.839 0.614
O27 0.437 0.467 0.649
O28 0.757 0.985 0.501
O29 0.563 0.533 0.351
P8 0.905 0.272 0.090
O30 0.056 0.693 0.310
O31 0.740 0.740 0.566
P9 0.905 0.597 0.241
P10 0.567 0.252 0.927
O32 0.922 0.416 0.225
O33 0.484 0.926 0.137
Zn2 0.746 0.719 0.979
P11 0.443 0.088 0.227
O34 0.088 0.025 0.254
O35 0.592 0.186 0.313
P12 0.587 0.391 0.714
P13 0.413 0.609 0.286
P14 0.761 0.924 0.612
Zn3 0.228 0.771 0.502
O36 0.863 0.133 0.129
P15 0.433 0.748 0.073
Zn4 0.772 0.229 0.498
P16 0.557 0.912 0.773
O37 0.504 0.324 0.040
O38 0.203 0.410 0.897
O39 0.388 0.736 0.403
O40 0.709 0.520 0.809
O41 0.137 0.867 0.871
O42 0.260 0.260 0.434
O43 0.317 0.139 0.131
O44 0.250 0.729 0.031

Values from the calculation:
As for the relative energy among the computed polymorphs: 6 meV per atom. The value obtained for the energy of formation is -2.47 eV/atom.

---

DFT (GGA-PBE) results for crystalline NaGdRe4H8O20 at its relaxed geometry.

Unit cell a=12.724 b=12.724 c=5.760 alpha=90.00 beta=90.00 gamma=90.00
Fractional positions:
O1 0.192 0.773 0.002
O2 0.435 0.851 0.492
Re1 0.592 0.285 0.466
O3 0.325 0.450 0.810
H1 0.365 0.164 0.008
O4 0.050 0.175 0.690
O5 0.675 0.550 0.810
H2 0.135 0.664 0.508
Re2 0.715 0.592 0.534
Re3 0.908 0.785 0.966
O6 0.273 0.692 0.498
O7 0.308 0.273 0.502
O8 0.351 0.935 0.008
O9 0.851 0.565 0.508
O10 0.355 0.476 0.321
H3 0.664 0.865 0.492
O11 0.560 0.853 0.020
Gd1 0.000 0.500 0.750
O12 0.060 0.647 0.520
H4 0.477 0.215 0.036
O13 0.808 0.227 0.002
H5 0.836 0.365 0.992
Re4 0.215 0.908 0.034
O14 0.065 0.351 0.992
H6 0.715 0.977 0.464
O15 0.855 0.024 0.821
H7 0.215 0.523 0.964
H8 0.977 0.285 0.536
O16 0.647 0.940 0.480
Re5 0.092 0.215 0.966
O17 0.649 0.065 0.008
O18 0.940 0.353 0.520
H9 0.635 0.836 0.008
H10 0.865 0.336 0.508
O19 0.353 0.060 0.480
O20 0.976 0.855 0.179
Re6 0.785 0.092 0.034
O21 0.950 0.825 0.690
O22 0.773 0.808 0.998
O23 0.565 0.149 0.492
H11 0.523 0.785 0.036
O24 0.024 0.145 0.179
O25 0.692 0.727 0.502
Re7 0.408 0.715 0.466
O26 0.227 0.192 0.998
O27 0.476 0.645 0.679
O28 0.175 0.950 0.310
O29 0.550 0.325 0.190
O30 0.853 0.440 0.980
O31 0.645 0.524 0.321
O32 0.727 0.308 0.498
Gd2 0.500 0.000 0.250
H12 0.164 0.635 0.992
H13 0.023 0.715 0.536
O33 0.147 0.560 0.980
O34 0.825 0.050 0.310
O35 0.524 0.355 0.679
O36 0.149 0.435 0.508
O37 0.440 0.147 0.020
H14 0.336 0.135 0.492
Na1 0.000 0.000 0.500
Na2 0.500 0.500 0.000
O38 0.145 0.976 0.821
O39 0.450 0.675 0.190
Re8 0.285 0.408 0.534
H15 0.785 0.477 0.964
H16 0.285 0.023 0.464
O40 0.935 0.649 0.992

Values from the calculation:
The value obtained for the energy of formation is -2.01 eV/atom.

---

DFT (GGA-PBE) results for crystalline Na3Sc2P3O12 at its relaxed geometry.

Unit cell a=8.993 b=8.993 c=9.184 alpha=61.66 beta=61.66 gamma=60.00
Fractional positions:
Na1 0.542 0.841 0.942
Sc1 0.847 0.355 0.947
Na2 0.441 0.199 0.088
Na3 0.893 0.107 0.750
Na4 0.841 0.542 0.442
O1 0.877 0.239 0.438
O2 0.084 0.207 0.780
Na5 0.199 0.441 0.588
O3 0.982 0.253 0.121
O4 0.915 0.792 0.220
O5 0.387 0.495 0.912
O6 0.069 0.424 0.208
O7 0.567 0.274 0.746
Na6 0.107 0.893 0.250
O8 0.239 0.877 0.938
O9 0.424 0.069 0.708
O10 0.016 0.750 0.880
O11 0.428 0.728 0.256
P1 0.252 0.032 0.761
P2 0.969 0.749 0.739
O12 0.274 0.567 0.246
P3 0.546 0.455 0.748
O13 0.207 0.084 0.280
O14 0.126 0.763 0.563
Sc2 0.650 0.152 0.552
O15 0.750 0.016 0.380
P4 0.749 0.969 0.239
P5 0.032 0.252 0.261
O16 0.516 0.611 0.580
O17 0.792 0.915 0.720
O18 0.495 0.387 0.412
P6 0.455 0.546 0.248
Sc3 0.355 0.847 0.447
O19 0.611 0.516 0.080
O20 0.939 0.573 0.790
Sc4 0.152 0.650 0.052
O21 0.728 0.428 0.756
O22 0.763 0.126 0.063
O23 0.573 0.939 0.290
O24 0.253 0.982 0.621

Values from the calculation:
As for the relative energy among the computed polymorphs: 4 meV per atom. The value obtained for the energy of formation is -3.07 eV/atom.